# 1
Below is K3Nb2S11 after structural relaxation, with properties calculated at the PBE-GGA level.

Calculated values
- E_form (meV per atom) = -1174
- DFT total energy (eV/atom) = -5.14

a b c (Å): 18.5642 18.5642 12.5825
angles (deg): 79.66 79.66 25.15
Element x y z (fractional)
K  0.8504  0.2142  0.4070
S  0.5797  0.6857  0.4478
K  0.4425  0.1390  0.2563
S  0.3576  0.7428  0.4279
K  0.2142  0.8504  0.9070
S  0.6857  0.5797  0.9478
K  0.1552  0.6087  0.3284
K  0.1390  0.4425  0.7563
S  0.8343  0.9267  0.5929
Nb  0.2826  0.8813  0.5735
S  0.0762  0.2520  0.4472
S  0.4276  0.7832  0.7263
Nb  0.9615  0.3938  0.9179
Nb  0.3938  0.9615  0.4179
S  0.0007  0.2783  0.1432
S  0.6253  0.9055  0.5054
Nb  0.6062  0.0385  0.5821
S  0.9633  0.4417  0.7409
K  0.5575  0.8610  0.7437
S  0.7428  0.3576  0.9279
S  0.3143  0.4203  0.0522
S  0.3747  0.0945  0.4946
S  0.9440  0.9659  0.8539
S  0.3979  0.5236  0.9286
S  0.5236  0.3979  0.4286
S  0.7832  0.4276  0.2263
S  0.6698  0.6974  0.4991
K  0.7858  0.1496  0.0930
S  0.9993  0.7217  0.8568
K  0.6087  0.1552  0.8284
S  0.3026  0.3302  0.0009
S  0.9238  0.7480  0.5528
Nb  0.8813  0.2826  0.0735
S  0.6424  0.2572  0.5721
S  0.6974  0.6698  0.9991
K  0.1496  0.7858  0.5930
S  0.2783  0.0007  0.6432
K  0.8610  0.5575  0.2437
S  0.7217  0.9993  0.3568
S  0.5724  0.2168  0.2737
S  0.9267  0.8343  0.0929
S  0.0367  0.5583  0.2591
S  0.9659  0.9440  0.3539
S  0.2168  0.5724  0.7737
S  0.0341  0.0560  0.6461
S  0.2520  0.0762  0.9472
S  0.6021  0.4764  0.0714
S  0.7480  0.9238  0.0528
S  0.3302  0.3026  0.5009
S  0.0560  0.0341  0.1461
K  0.8448  0.3913  0.6716
S  0.5583  0.0367  0.7591
K  0.3913  0.8448  0.1716
S  0.9055  0.6253  0.0054
Nb  0.0385  0.6062  0.0821
S  0.4417  0.9633  0.2409
S  0.0945  0.3747  0.9946
S  0.1657  0.0733  0.4071
S  0.4203  0.3143  0.5522
S  0.2572  0.6424  0.0721
S  0.4764  0.6021  0.5714
Nb  0.7174  0.1187  0.4265
S  0.0733  0.1657  0.9071
Nb  0.1187  0.7174  0.9265

***

# 2
Below is KNb6Se8 after structural relaxation, with properties calculated at the PBE-GGA level.

Calculated values
- E_form (meV per atom) = -1149
- DFT total energy (eV/atom) = -6.88

a b c (Å): 10.1956 10.1956 3.5245
angles (deg): 90.00 90.00 120.00
Element x y z (fractional)
Se  0.3333  0.6667  0.7500
Nb  0.8938  0.3819  0.7498
Se  0.6584  0.7181  0.2488
Se  0.0598  0.3416  0.2488
Se  0.7181  0.0598  0.7512
Nb  0.3819  0.4881  0.2502
Nb  0.4881  0.1062  0.7498
Se  0.6667  0.3333  0.2500
Se  0.9402  0.6584  0.7512
Nb  0.1062  0.6181  0.2502
Nb  0.5119  0.8938  0.2502
Nb  0.6181  0.5119  0.7498
Se  0.3416  0.2819  0.7512
K  0.0000  0.0000  0.5000
Se  0.2819  0.9402  0.2488

***

# 3
Below is KNb6Te8 after structural relaxation, with properties calculated at the PBE-GGA level.

Calculated values
- E_form (meV per atom) = -704
- DFT total energy (eV/atom) = -6.27

a b c (Å): 3.7104 10.8572 10.8585
angles (deg): 60.02 90.00 90.00
Element x y z (fractional)
Nb  0.7485  0.1012  0.3880
Te  0.2467  0.9368  0.3380
Nb  0.7485  0.5108  0.1012
Nb  0.7485  0.3880  0.5108
Nb  0.2515  0.8988  0.6120
Te  0.7533  0.6620  0.2748
Te  0.2495  0.3333  0.3333
Te  0.2467  0.3380  0.7252
Nb  0.2515  0.6120  0.4892
Te  0.7505  0.6667  0.6667
K  0.5000  0.0000  0.0000
Te  0.2467  0.7252  0.9368
Nb  0.2515  0.4892  0.8988
Te  0.7533  0.2748  0.0632
Te  0.7533  0.0632  0.6620

***

# 4
Below is KZr2Nb after structural relaxation, with properties calculated at the PBE-GGA level.

Calculated values
- E_form (meV per atom) = 1006
- DFT total energy (eV/atom) = -6.07

a b c (Å): 5.1045 5.1045 5.1045
angles (deg): 60.00 60.00 60.00
Element x y z (fractional)
Zr  0.2500  0.2500  0.2500
Zr  0.7500  0.7500  0.7500
K  0.0000  0.0000  0.0000
Nb  0.5000  0.5000  0.5000

***

# 5
Below is KNd after structural relaxation, with properties calculated at the PBE-GGA level.

Calculated values
- E_form (meV per atom) = 439
- DFT total energy (eV/atom) = -2.50

a b c (Å): 3.7231 3.7230 7.2460
angles (deg): 90.00 90.00 120.01
Element x y z (fractional)
K  0.6667  0.3333  0.7500
Nd  0.3333  0.6667  0.2500

***

# 6
Below is K15Nd7Zr9P24O96 after structural relaxation, with properties calculated at the PBE-GGA level.

Calculated values
- E_form (meV per atom) = -3148
- DFT total energy (eV/atom) = -7.56

a b c (Å): 10.6305 10.5953 21.1934
angles (deg): 89.96 90.07 89.40
Element x y z (fractional)
P  0.7293  0.3792  0.7639
P  0.6164  0.0275  0.8785
K  0.2024  0.7988  0.1498
O  0.7685  0.9865  0.0851
O  0.0675  0.2075  0.9915
O  0.1992  0.9790  0.0215
Zr  0.1514  0.1449  0.0738
P  0.6228  0.0362  0.3806
O  0.9405  0.8369  0.6263
O  0.8472  0.0099  0.1964
O  0.7084  0.5290  0.9683
O  0.4350  0.7929  0.2433
O  0.9084  0.6346  0.4921
O  0.5074  0.1080  0.0869
O  0.9925  0.8919  0.8366
P  0.0435  0.7600  0.3185
O  0.2552  0.4716  0.1553
K  0.7018  0.7000  0.8517
P  0.7687  0.6130  0.5121
O  0.7982  0.2513  0.7587
O  0.0911  0.3197  0.1128
O  0.1828  0.7707  0.2959
O  0.7198  0.4109  0.3408
O  0.7646  0.5634  0.5803
P  0.9745  0.2681  0.9431
O  0.9876  0.0649  0.6030
O  0.2341  0.0846  0.6590
P  0.1324  0.4603  0.1157
K  0.4333  0.5682  0.5341
O  0.8481  0.0096  0.6958
P  0.3672  0.5391  0.8649
O  0.5875  0.3564  0.2454
O  0.9623  0.6990  0.7653
O  0.9652  0.6991  0.2662
O  0.7666  0.5682  0.0826
O  0.0312  0.5389  0.1487
O  0.0152  0.4074  0.9325
O  0.3867  0.8332  0.5064
Nd  0.8511  0.6564  0.6724
O  0.4840  0.5926  0.1831
Zr  0.0849  0.5826  0.9596
O  0.6613  0.7370  0.7181
O  0.8393  0.2624  0.9685
K  0.9289  0.9318  0.4660
O  0.3215  0.2340  0.5450
K  0.2979  0.2022  0.8995
O  0.5143  0.9342  0.8526
O  0.1677  0.7565  0.9861
O  0.3437  0.4888  0.7965
O  0.7017  0.7483  0.0093
O  0.4672  0.4596  0.8984
O  0.3001  0.0179  0.2692
O  0.7068  0.5152  0.4670
O  0.4847  0.5928  0.6822
Zr  0.3484  0.8548  0.8234
O  0.9384  0.8364  0.1275
P  0.7254  0.3747  0.2692
O  0.3497  0.4871  0.2994
O  0.8192  0.2770  0.4594
O  0.2646  0.9165  0.9105
P  0.8831  0.9718  0.1288
O  0.9855  0.0644  0.1026
K  0.7996  0.2983  0.6019
O  0.1572  0.5111  0.5473
P  0.1333  0.4603  0.6154
O  0.1131  0.1670  0.7550
K  0.0628  0.4334  0.7835
O  0.4806  0.4608  0.3993
P  0.7709  0.6205  0.0145
O  0.6934  0.7368  0.5045
Zr  0.6390  0.3503  0.4259
O  0.3325  0.2426  0.2346
Zr  0.4144  0.4161  0.2102
O  0.2567  0.4707  0.6544
K  0.0692  0.4278  0.2856
K  0.2015  0.7990  0.6489
O  0.7327  0.0138  0.3353
O  0.4330  0.7926  0.7414
O  0.1666  0.7551  0.4880
O  0.0923  0.3198  0.6126
P  0.4593  0.2400  0.0685
P  0.8850  0.9723  0.6282
O  0.5412  0.3023  0.5105
O  0.7992  0.2516  0.2593
O  0.6522  0.9910  0.9463
O  0.5090  0.9597  0.3536
O  0.3335  0.2430  0.7341
O  0.1798  0.7690  0.7950
O  0.4085  0.6801  0.8625
O  0.9921  0.8903  0.3377
K  0.4373  0.5665  0.0337
O  0.5879  0.3588  0.7443
Nd  0.5800  0.9172  0.0427
Zr  0.1505  0.1478  0.5700
O  0.5102  0.8057  0.6310
Nd  0.6484  0.3425  0.9236
K  0.9255  0.9310  0.9669
P  0.9616  0.2721  0.4411
O  0.1572  0.5112  0.0475
O  0.5595  0.1622  0.8762
O  0.2548  0.5282  0.4081
O  0.5879  0.1798  0.3840
O  0.0378  0.2093  0.4958
O  0.2348  0.0834  0.1599
O  0.3199  0.2314  0.0453
O  0.0329  0.5397  0.6486
P  0.2423  0.1288  0.2302
P  0.5258  0.7317  0.6931
O  0.7894  0.4805  0.2326
O  0.9809  0.1947  0.3814
O  0.1977  0.9799  0.5204
O  0.2635  0.9085  0.4105
O  0.4757  0.3340  0.6220
O  0.3877  0.8333  0.0053
O  0.9904  0.1945  0.8811
O  0.5132  0.1117  0.5829
P  0.5252  0.7319  0.1938
O  0.5083  0.8058  0.1319
O  0.6560  0.9888  0.4469
Nd  0.5811  0.9151  0.5416
Zr  0.0879  0.5801  0.4589
P  0.3746  0.5393  0.3668
O  0.0313  0.6714  0.8762
O  0.2440  0.5286  0.9041
P  0.4623  0.2426  0.5650
P  0.2423  0.1292  0.7291
O  0.5373  0.3011  0.0160
P  0.2566  0.8692  0.4809
O  0.9122  0.6405  0.9950
O  0.7333  0.4312  0.8318
O  0.3009  0.0211  0.7706
O  0.4692  0.3289  0.1266
P  0.2576  0.8707  0.9806
O  0.0120  0.4081  0.4314
K  0.5731  0.0683  0.2168
O  0.7700  0.9850  0.5843
K  0.5748  0.0692  0.7167
Nd  0.9229  0.0816  0.2924
Zr  0.3504  0.8607  0.3248
Zr  0.4162  0.4165  0.7084
O  0.6611  0.7376  0.2185
Nd  0.8510  0.6552  0.1751
O  0.7314  0.0134  0.8351
O  0.0362  0.6695  0.3763
O  0.7913  0.4708  0.7178
P  0.0403  0.7599  0.8179
K  0.7014  0.7031  0.3506
O  0.1120  0.1661  0.2540
Nd  0.9204  0.0826  0.7922
K  0.7981  0.2979  0.1010
O  0.4158  0.6799  0.3633